# 1
Density functional theory data (PBE) for EuC6 after structural relaxation.

Properties
The energy relative to the elements comes out at -0.065 eV per atom. Its calculated density is 4.80 g/cm3.

a b c (Å): 4.3434 4.3434 9.4909
angles (deg): 90.00 90.00 120.00
Closest atoms and distances in Å follow each position.
Space group P6_3/mmc (No. 194)
Asymmetric unit:
Eu: 0.3333 0.6667 0.2500 (multiplicity 2)  12 C 2.78
C: 0.0000 0.3335 0.0000 (multiplicity 12)  3 C 1.45

# 2
Density functional theory data (PBE) for Na3GaSiSnP2O12 after structural relaxation.

Properties
The energy relative to the elements comes out at -2.561 eV per atom. The energy above the most stable polymorph in this dataset comes out at 0.0 kJ per mole of atoms. The energy with MP2020 corrections is -6.8923 eV/atom. Its calculated density is 3.53 g/cm3.

a b c (Å): 15.4217 8.9100 22.1445
angles (deg): 90.00 90.14 90.00
Closest atoms and distances in Å follow each position.
Space group Cc (No. 9)
Asymmetric unit:
Na: 0.0000 0.0001 0.0000 (multiplicity 4)  6 O 2.42-2.65
Na: 0.1461 0.1789 0.4217 (multiplicity 4)  5 O 2.33-2.54
Na: 0.1657 0.1310 0.0836 (multiplicity 4)  5 O 2.38-2.54
Na: 0.1660 0.4967 0.8335 (multiplicity 4)  6 O 2.37-2.62
Na: 0.1813 0.1906 0.7518 (multiplicity 4)  6 O 2.40-2.63
Na: 0.3321 0.3644 0.9154 (multiplicity 4)  5 O 2.38-2.54
Na: 0.3343 0.0097 0.1666 (multiplicity 4)  6 O 2.46-2.63
Na: 0.3445 0.3098 0.5877 (multiplicity 4)  5 O 2.34-2.59
Na: 0.4973 0.1366 0.7508 (multiplicity 4)  5 O 2.36-2.55
Ga: 0.1710 0.4974 0.6882 (multiplicity 4)  5 O 1.90-2.09
Ga: 0.3265 0.0012 0.5210 (multiplicity 4)  6 O 1.92-2.13
Ga: 0.4965 0.4905 0.3548 (multiplicity 4)  5 O 1.90-2.08
Si: 0.1641 0.2065 0.5876 (multiplicity 4)  4 O 1.62-1.65
Si: 0.1799 0.1460 0.9208 (multiplicity 4)  4 O 1.63-1.65
Si: 0.3507 0.3604 0.7557 (multiplicity 4)  4 O 1.62-1.68
Sn: 0.1602 0.4989 0.9858 (multiplicity 4)  6 O 1.99-2.15
Sn: 0.3300 0.0013 0.8193 (multiplicity 4)  6 O 2.00-2.10
Sn: 0.4966 0.4938 0.1526 (multiplicity 4)  6 O 1.99-2.14
P: 0.0167 0.3586 0.0900 (multiplicity 4)  4 O 1.53-1.58
P: 0.1437 0.1509 0.2544 (multiplicity 4)  4 O 1.54-1.57
P: 0.3093 0.3510 0.0869 (multiplicity 4)  4 O 1.53-1.57
P: 0.3331 0.2911 0.4227 (multiplicity 4)  4 O 1.53-1.58
P: 0.4748 0.1439 0.9214 (multiplicity 4)  4 O 1.53-1.56
P: 0.4971 0.2065 0.2549 (multiplicity 4)  4 O 1.53-1.56
O: 0.0062 0.1824 0.0930 (multiplicity 4)  1 P 1.58
O: 0.0162 0.1914 0.8088 (multiplicity 4)  1 P 1.53
O: 0.0598 0.4221 0.1470 (multiplicity 4)  1 P 1.53
O: 0.0686 0.4217 0.4247 (multiplicity 4)  1 P 1.56
O: 0.0770 0.3711 0.0339 (multiplicity 4)  1 P 1.56
O: 0.0772 0.3972 0.7487 (multiplicity 4)  1 P 1.55
O: 0.0804 0.0911 0.5914 (multiplicity 4)  1 Si 1.65
O: 0.0868 0.0610 0.9123 (multiplicity 4)  1 Si 1.63
O: 0.0866 0.1233 0.3102 (multiplicity 4)  1 P 1.54
O: 0.1067 0.0705 0.1969 (multiplicity 4)  1 P 1.57
O: 0.1473 0.3012 0.5251 (multiplicity 4)  1 Si 1.64
O: 0.1486 0.3220 0.2460 (multiplicity 4)  1 P 1.54
O: 0.1768 0.3308 0.9256 (multiplicity 4)  1 Si 1.65
O: 0.1817 0.3124 0.6460 (multiplicity 4)  1 Si 1.62
O: 0.2239 0.0661 0.9798 (multiplicity 4)  1 Si 1.63
O: 0.2349 0.0765 0.2591 (multiplicity 4)  1 P 1.56
O: 0.2415 0.1306 0.8601 (multiplicity 4)  1 Si 1.65
O: 0.2485 0.3753 0.1405 (multiplicity 4)  1 P 1.53
O: 0.2490 0.3911 0.4254 (multiplicity 4)  1 P 1.58
O: 0.2523 0.1014 0.5825 (multiplicity 4)  1 Si 1.65
O: 0.2531 0.4296 0.7498 (multiplicity 4)  1 Si 1.63
O: 0.2727 0.4271 0.0284 (multiplicity 4)  1 P 1.57
O: 0.3131 0.1925 0.3665 (multiplicity 4)  1 P 1.55
O: 0.3192 0.1805 0.0798 (multiplicity 4)  1 P 1.54
O: 0.3421 0.1725 0.7574 (multiplicity 4)  1 Si 1.68
O: 0.3455 0.1969 0.4800 (multiplicity 4)  1 P 1.53
O: 0.3981 0.4269 0.8155 (multiplicity 4)  1 Si 1.62
O: 0.3983 0.4327 0.0924 (multiplicity 4)  1 P 1.56
O: 0.4111 0.3748 0.6946 (multiplicity 4)  1 Si 1.65
O: 0.4113 0.3966 0.4161 (multiplicity 4)  1 P 1.54
O: 0.4147 0.1104 0.9745 (multiplicity 4)  1 P 1.53
O: 0.4155 0.1045 0.2604 (multiplicity 4)  1 P 1.56
O: 0.4261 0.0727 0.5815 (multiplicity 4)  1 P 1.54
O: 0.4404 0.0753 0.8612 (multiplicity 4)  1 P 1.56
O: 0.4795 0.2974 0.1966 (multiplicity 4)  1 P 1.55
O: 0.4836 0.3166 0.9171 (multiplicity 4)  1 P 1.55

# 3
Density functional theory data (PBE) for NaPrP2H4CO7 after structural relaxation.

Properties
The energy relative to the elements comes out at -2.126 eV per atom. The energy with MP2020 corrections is -6.7742 eV/atom. Its calculated density is 3.16 g/cm3.

a b c (Å): 6.8902 15.9552 6.7682
angles (deg): 90.00 90.84 90.00
Closest atoms and distances in Å follow each position.
Space group P2_1/c (No. 14)
Asymmetric unit:
Na: 0.2154 0.0103 0.1465 (multiplicity 4)  5 O 2.28-2.54
Pr: 0.3392 0.6051 0.0954 (multiplicity 4)  8 O 2.39-2.65
P: 0.1701 0.0810 0.6454 (multiplicity 4)  3 O 1.52-1.57
P: 0.4971 0.1606 0.9019 (multiplicity 4)  3 O 1.54-1.55
H: 0.0174 0.6522 0.3980 (multiplicity 4)  1 O 0.97
H: 0.1544 0.2002 0.8645 (multiplicity 4)  1 C 1.10
H: 0.1959 0.7134 0.4346 (multiplicity 4)  1 O 0.99
H: 0.2926 0.2207 0.6538 (multiplicity 4)  1 C 1.10
C: 0.2671 0.1738 0.7695 (multiplicity 4)  2 H 1.10
O: 0.0194 0.6070 0.9548 (multiplicity 4)  1 P 1.52
O: 0.1156 0.6850 0.3311 (multiplicity 4)  2 H 0.97-0.99
O: 0.1463 0.0092 0.7986 (multiplicity 4)  1 P 1.56
O: 0.3226 0.0505 0.4914 (multiplicity 4)  1 P 1.57
O: 0.3723 0.6096 0.7355 (multiplicity 4)  1 P 1.54
O: 0.4162 0.7486 0.5563 (multiplicity 4)  1 P 1.55
O: 0.4598 0.1140 0.0983 (multiplicity 4)  1 P 1.55

# 4
Density functional theory data (PBE) for Ba5Nb2O10 after structural relaxation.

Properties
The energy relative to the elements comes out at -3.150 eV per atom. The energy with MP2020 corrections is -7.8135 eV/atom. Its calculated density is 5.67 g/cm3.

a b c (Å): 6.1573 10.7133 18.3353
angles (deg): 90.00 90.00 90.00
Closest atoms and distances in Å follow each position.
Space group Cmc2_1 (No. 36)
Asymmetric unit:
Ba: 0.0000 0.0004 0.0000 (multiplicity 4)  2 O 2.57-2.85
Ba: 0.0000 0.0038 0.2701 (multiplicity 4)  3 O 2.57-2.88
Ba: 0.0000 0.3077 0.6535 (multiplicity 4)  4 O 2.56-2.79
Ba: 0.0000 0.3319 0.8845 (multiplicity 4)  12 O 3.02-3.22
Ba: 0.0000 0.3507 0.1154 (multiplicity 4)  4 O 2.50-2.79
Nb: 0.0000 0.3309 0.4652 (multiplicity 4)  4 O 1.93-2.07
Nb: 0.0000 0.3367 0.3043 (multiplicity 4)  5 O 1.92-2.11
O: 0.0000 0.0629 0.6353 (multiplicity 4)  3 Ba 2.57-2.64
O: 0.0000 0.1872 0.3899 (multiplicity 4)  2 Nb 2.07-2.24
O: 0.0000 0.4848 0.2456 (multiplicity 4)  1 Nb 1.92
O: 0.0000 0.4935 0.5138 (multiplicity 4)  1 Nb 1.96
O: 0.2199 0.4071 0.3826 (multiplicity 8)  2 Nb 2.11-2.19
O: 0.2297 0.2458 0.2549 (multiplicity 8)  1 Nb 1.94
O: 0.2400 0.2640 0.5204 (multiplicity 8)  1 Nb 1.93